The following is a PBE calculation of a relaxed LaNb7O19 crystal, from Materials Project.

a = 6.341 Å, b = 6.341 Å, c = 20.383 Å
α = 90.00°, β = 90.00°, γ = 120.00°
Fractional coordinates of all 54 atoms:
La 0.333 0.667 0.153
La 0.667 0.333 0.847
Nb 0.000 0.359 0.500
Nb 0.000 0.645 0.000
Nb 0.001 0.359 0.312
Nb 0.333 0.667 0.842
Nb 0.355 0.355 0.000
Nb 0.359 0.000 0.500
Nb 0.359 0.001 0.688
Nb 0.359 0.999 0.312
Nb 0.641 0.641 0.312
Nb 0.641 0.641 0.500
Nb 0.641 0.641 0.688
Nb 0.645 0.000 0.000
Nb 0.667 0.333 0.158
Nb 0.999 0.359 0.688
O 0.000 0.242 0.000
O 0.000 0.754 0.306
O 0.000 0.754 0.694
O 0.000 0.756 0.500
O 0.033 0.409 0.403
O 0.051 0.429 0.792
O 0.056 0.618 0.906
O 0.242 0.000 0.000
O 0.244 0.244 0.500
O 0.246 0.246 0.306
O 0.246 0.246 0.694
O 0.333 0.667 0.023
O 0.333 0.667 0.285
O 0.333 0.667 0.511
O 0.333 0.667 0.683
O 0.376 0.967 0.403
O 0.378 0.949 0.792
O 0.382 0.437 0.906
O 0.409 0.033 0.597
O 0.429 0.051 0.208
O 0.437 0.382 0.094
O 0.563 0.944 0.906
O 0.571 0.622 0.792
O 0.591 0.624 0.403
O 0.618 0.056 0.094
O 0.622 0.571 0.208
O 0.624 0.591 0.597
O 0.667 0.333 0.317
O 0.667 0.333 0.489
O 0.667 0.333 0.715
O 0.667 0.333 0.977
O 0.754 0.000 0.306
O 0.754 0.000 0.694
O 0.756 0.000 0.500
O 0.758 0.758 0.000
O 0.944 0.563 0.094
O 0.949 0.378 0.208
O 0.967 0.376 0.597

Values from the calculation:
Its formation energy is -3.14 eV per atom. Its density is 5.12 g/cm³. Its space group is P321 (150).